Entry i
28
Lattice="6.742 0.000 0.000 2.235 7.450 0.000 2.296 1.356 8.275" Properties=species:S:1:pos:R:3 comment="Ce5O9 (r2SCAN, relaxed)" magnetic_moment_mub_per_atom=0.1429 pbc="T T T"
Ce 1.799 2.478 3.976
Ce 1.718 0.603 0.698
Ce 2.818 4.122 0.723
Ce 4.882 3.608 5.701
Ce 6.189 7.317 5.798
Ce 5.083 1.489 2.477
Ce 6.390 5.198 2.573
Ce 8.454 4.684 7.552
Ce 9.555 8.204 7.577
Ce 9.474 6.328 4.299
O 2.573 4.122 5.460
O 3.855 8.169 5.514
O 3.905 3.920 7.826
O 5.275 7.566 8.003
O 2.859 2.176 1.952
O 4.899 5.627 4.400
O 3.945 1.870 4.467
O 6.245 5.032 6.915
O 5.276 1.704 6.939
O 5.997 7.102 1.336
O 5.027 3.774 1.359
O 7.327 6.936 3.808
O 6.374 3.179 3.875
O 8.413 6.630 6.323
O 5.998 1.240 0.272
O 7.367 4.886 0.449
O 7.418 0.637 2.761
O 8.699 4.684 2.815

=====

Entry ii
14
Lattice="6.117 -2.779 0.000 6.117 2.779 0.000 -6.109 0.000 6.127" Properties=species:S:1:pos:R:3 comment="Ce5O9 (r2SCAN, relaxed)" magnetic_moment_mub_per_atom=0.1429 pbc="T T T"
Ce 0.000 0.000 0.000
Ce -2.433 -0.137 5.037
Ce 1.092 0.129 3.685
Ce 5.033 0.129 2.443
Ce 8.558 -0.137 1.090
O -0.844 1.386 4.112
O 4.419 1.356 0.613
O 3.062 1.381 3.064
O 1.705 1.356 5.514
O 6.969 1.386 2.015
O -0.609 -1.364 4.420
O 4.115 -1.393 0.845
O 2.009 -1.393 5.283
O 6.733 -1.364 1.707

=====

Stability comparison, relative energies in meV per atom: entry i 0; entry ii 16

=====

Entry i
24
Lattice="7.530 0.000 0.000 0.000 8.737 0.000 -0.828 0.000 4.798" Properties=species:S:1:pos:R:3 comment="CuClF10 (r2SCAN, relaxed)" magnetic_moment_mub_per_atom=0.0864 pbc="T T T"
Cu 0.000 0.000 0.000
Cu -0.414 4.368 2.399
Cl 3.351 0.000 2.399
Cl 3.765 4.368 0.000
F 0.239 0.979 3.830
F 0.653 3.389 1.431
F 0.609 5.742 2.145
F 0.196 7.364 4.544
F 2.288 1.026 1.636
F 1.874 3.342 4.035
F 2.504 5.308 0.486
F 2.090 7.798 2.885
F 3.068 5.262 3.415
F 3.482 7.843 1.016
F 3.220 0.893 3.781
F 3.634 3.475 1.382
F 4.612 0.939 1.913
F 4.198 3.429 4.312
F 4.828 5.394 0.763
F 4.414 7.711 3.162
F 6.507 1.373 0.254
F 6.093 2.995 2.653
F 6.049 5.348 3.367
F 6.463 7.757 0.968

=====

Entry ii
24
Lattice="4.377 0.000 0.000 0.000 8.826 0.000 -1.008 0.000 8.049" Properties=species:S:1:pos:R:3 comment="CuClF10 (r2SCAN, relaxed)" magnetic_moment_mub_per_atom=0.0000 pbc="T T T"
Cu 0.000 0.000 0.000
Cu -0.504 4.413 4.025
Cl 1.684 0.000 4.025
Cl 2.188 4.413 0.000
F -0.756 1.467 7.127
F -0.253 2.946 3.102
F 0.663 5.230 3.014
F 0.159 8.009 7.038
F 0.738 0.431 2.781
F 0.234 3.982 6.805
F 1.211 5.663 0.313
F 0.707 7.577 4.338
F 0.815 0.937 5.014
F 1.319 3.476 0.989
F 2.050 5.350 7.060
F 2.554 7.889 3.036
F 2.662 1.250 3.712
F 2.158 3.163 7.737
F 3.135 4.844 1.244
F 2.631 8.395 5.269
F 3.210 0.817 1.011
F 2.706 3.596 5.036
F 3.621 5.880 4.947
F 4.125 7.360 0.923

=====

Stability comparison, relative energies in meV per atom: entry i 35; entry ii 0

=====

Entry i
10
Lattice="-2.167 3.103 10.935 2.167 -3.103 10.935 2.167 3.103 -10.935" Properties=species:S:1:pos:R:3 comment="K4NaCl5 (r2SCAN, relaxed)" magnetic_moment_mub_per_atom=0.0000 pbc="T T T"
K 0.000 0.000 2.148
K 0.000 0.000 6.671
K 0.000 0.000 15.198
K 0.000 0.000 19.722
Na 0.000 0.000 10.935
Cl 2.167 0.000 0.000
Cl 2.167 0.000 4.408
Cl 2.167 0.000 8.991
Cl 0.000 3.103 1.944
Cl 0.000 3.103 6.527

=====

Entry ii
10
Lattice="-2.193 2.193 15.382 2.193 -2.193 15.382 2.193 2.193 -15.382" Properties=species:S:1:pos:R:3 comment="K4NaCl5 (r2SCAN, relaxed)" magnetic_moment_mub_per_atom=0.0000 pbc="T T T"
K 0.000 0.000 2.996
K 0.000 0.000 9.287
K 0.000 0.000 21.477
K 0.000 0.000 27.769
Na 0.000 0.000 15.382
Cl 0.000 0.000 0.000
Cl 0.000 0.000 6.139
Cl 0.000 0.000 12.499
Cl 0.000 0.000 18.265
Cl 0.000 0.000 24.625

=====

Entry iii
10
Lattice="2.169 1.252 17.900 -2.169 1.252 17.900 0.000 -2.505 17.900" Properties=species:S:1:pos:R:3 comment="K4NaCl5 (r2SCAN, relaxed)" magnetic_moment_mub_per_atom=0.0000 pbc="T T T"
K 0.000 0.000 5.577
K 0.000 0.000 16.047
K 0.000 0.000 37.653
K 0.000 0.000 48.123
Na 0.000 0.000 26.850
Cl 0.000 0.000 0.000
Cl 0.000 0.000 10.446
Cl 0.000 0.000 21.612
Cl 0.000 0.000 32.088
Cl 0.000 0.000 43.254

=====

Stability comparison, relative energies in meV per atom: entry i 5; entry ii 10; entry iii 0

=====

Entry i
10
Lattice="-2.050 2.050 14.315 2.050 -2.050 14.315 2.050 2.050 -14.315" Properties=species:S:1:pos:R:3 comment="KNa4Cl5 (r2SCAN, relaxed)" magnetic_moment_mub_per_atom=0.0000 pbc="T T T"
K 0.000 0.000 0.000
Na 0.000 0.000 5.794
Na 0.000 0.000 11.346
Na 0.000 0.000 17.283
Na 0.000 0.000 22.836
Cl 0.000 0.000 3.040
Cl 0.000 0.000 8.552
Cl 0.000 0.000 14.315
Cl 0.000 0.000 20.077
Cl 0.000 0.000 25.590

=====

Entry ii
10
Lattice="6.735 -2.022 0.000 6.735 2.022 0.000 -4.929 0.000 8.710" Properties=species:S:1:pos:R:3 comment="KNa4Cl5 (r2SCAN, relaxed)" magnetic_moment_mub_per_atom=0.0000 pbc="T T T"
K 0.000 0.000 0.000
Na -1.205 0.000 6.897
Na 2.480 0.000 5.208
Na 6.061 0.000 3.502
Na 9.746 0.000 1.813
Cl -2.465 0.000 4.355
Cl 1.232 0.000 2.738
Cl 4.705 0.000 0.981
Cl 3.836 0.000 7.729
Cl 7.309 0.000 5.972

=====

Stability comparison, relative energies in meV per atom: entry i 14; entry ii 0

=====

Entry i
22
Lattice="6.075 -8.313 0.000 6.075 8.313 0.000 0.000 0.000 6.518" Properties=species:S:1:pos:R:3 comment="SnPCl9 (r2SCAN, relaxed)" magnetic_moment_mub_per_atom=0.0000 pbc="T T T"
Sn 6.075 4.157 5.823
Sn 6.075 -4.157 0.695
P 3.038 0.000 3.259
P 9.113 0.000 3.259
Cl 4.008 4.157 4.709
Cl 1.920 1.121 4.383
Cl 6.075 6.601 5.836
Cl 1.920 -1.121 2.135
Cl 6.075 4.157 1.668
Cl 4.155 1.121 2.135
Cl 6.075 1.712 5.836
Cl 4.155 -1.121 4.383
Cl 8.142 4.157 4.709
Cl 4.008 -4.157 1.810
Cl 7.995 1.121 2.135
Cl 6.075 -1.712 0.682
Cl 7.995 -1.121 4.383
Cl 6.075 -4.157 4.850
Cl 10.230 1.121 4.383
Cl 6.075 -6.601 0.682
Cl 10.230 -1.121 2.135
Cl 8.142 -4.157 1.810

=====

Entry ii
22
Lattice="7.157 0.000 0.000 -0.869 9.064 0.000 -0.969 -1.908 9.392" Properties=species:S:1:pos:R:3 comment="SnPCl9 (r2SCAN, relaxed)" magnetic_moment_mub_per_atom=0.0000 pbc="T T T"
Sn 0.523 0.926 1.684
Sn 4.796 6.231 7.708
P 2.246 1.413 6.780
P 3.073 5.744 2.612
Cl -1.091 5.392 5.838
Cl 0.240 2.991 0.502
Cl -0.177 7.809 2.682
Cl -0.238 7.078 8.904
Cl 0.717 2.610 6.870
Cl 1.760 -0.158 5.762
Cl 1.605 4.829 3.496
Cl 2.729 1.507 2.418
Cl 2.530 6.240 0.820
Cl 2.789 0.917 8.572
Cl 2.590 5.650 6.974
Cl 3.715 2.328 5.896
Cl 3.559 7.315 3.630
Cl 4.602 4.547 2.522
Cl 5.557 0.079 0.488
Cl 5.497 -0.652 6.710
Cl 5.079 4.166 8.890
Cl 6.411 1.765 3.554

=====

Stability comparison, relative energies in meV per atom: entry i 8; entry ii 0

=====

Entry i
2
Lattice="2.472 0.000 0.000 -1.236 2.141 0.000 0.000 0.000 4.021" Properties=species:S:1:pos:R:3 comment="Co (r2SCAN, relaxed)" magnetic_moment_mub_per_atom=1.7770 pbc="T T T"
Co 0.000 1.427 1.005
Co 1.236 0.714 3.016

=====

Entry ii
4
Lattice="2.471 0.000 0.000 -1.235 2.140 0.000 0.000 0.000 8.088" Properties=species:S:1:pos:R:3 comment="Co (r2SCAN, relaxed)" magnetic_moment_mub_per_atom=1.7825 pbc="T T T"
Co 0.000 0.000 0.000
Co 0.000 0.000 4.044
Co 0.000 1.426 2.022
Co 1.235 0.713 6.066

=====

Stability comparison, relative energies in meV per atom: entry i 14; entry ii 0

=====

Entry i
4
Lattice="3.540 0.000 0.000 0.000 3.540 0.000 0.000 0.000 3.540" Properties=species:S:1:pos:R:3 comment="CrCo3 (r2SCAN, relaxed)" magnetic_moment_mub_per_atom=0.1942 pbc="T T T"
Cr 0.000 0.000 0.000
Co 0.000 1.770 1.770
Co 1.770 0.000 1.770
Co 1.770 1.770 0.000

=====

Entry ii
8
Lattice="5.018 0.000 0.000 -2.509 4.345 0.000 0.000 0.000 4.071" Properties=species:S:1:pos:R:3 comment="CrCo3 (r2SCAN, relaxed)" magnetic_moment_mub_per_atom=0.3116 pbc="T T T"
Cr 0.000 2.897 1.018
Cr 2.509 1.448 3.053
Co 0.000 1.403 3.053
Co -1.294 3.644 3.053
Co 1.215 0.702 1.018
Co 1.294 3.644 3.053
Co 3.803 0.702 1.018
Co 2.509 2.942 1.018

=====

Stability comparison, relative energies in meV per atom: entry i 18; entry ii 0

=====

Entry i
24
Lattice="4.944 0.000 0.000 1.588 5.396 0.000 1.558 0.999 7.201" Properties=species:S:1:pos:R:3 comment="Li7Mn2Co3O12 (r2SCAN, relaxed)" magnetic_moment_mub_per_atom=0.2477 pbc="T T T"
Li 0.000 0.000 0.000
Li 1.547 2.457 4.693
Li 2.358 5.132 4.712
Li 1.570 3.858 2.326
Li 0.823 2.652 0.034
Li 3.251 1.954 1.189
Li 5.703 1.278 2.304
Mn 4.041 1.750 5.964
Mn 4.057 4.625 1.170
Co 3.240 0.490 3.530
Co 4.032 3.170 3.531
Co 4.832 4.412 5.955
O 2.513 2.163 3.017
O 1.705 0.877 0.464
O 2.542 3.710 0.497
O 3.329 4.852 2.909
O 3.331 3.396 5.334
O 4.128 6.092 5.316
O 5.530 4.213 4.185
O 4.733 1.494 4.171
O 6.340 5.450 6.575
O 5.562 5.580 1.794
O 4.813 3.022 1.790
O 5.546 2.708 6.455

=====

Entry ii
24
Lattice="2.817 0.000 0.000 1.407 7.331 0.000 0.002 1.689 9.428" Properties=species:S:1:pos:R:3 comment="Li7Mn2Co3O12 (r2SCAN, relaxed)" magnetic_moment_mub_per_atom=0.2499 pbc="T T T"
Li 0.000 0.000 0.000
Li 1.408 7.420 7.266
Li 1.400 4.196 2.316
Li 1.420 2.416 7.314
Li 2.827 6.629 2.057
Li 2.814 5.034 7.137
Li 2.815 1.663 2.255
Mn 1.408 2.442 0.038
Mn 1.407 0.894 4.733
Co 1.407 5.771 4.695
Co 2.819 6.670 9.426
Co 2.816 3.350 4.750
O 1.406 7.437 3.683
O 1.409 5.671 1.082
O 1.410 5.794 8.401
O 1.407 4.178 5.727
O 1.407 2.515 3.735
O 1.407 1.024 1.136
O 2.818 8.141 8.312
O 2.816 6.596 5.714
O 2.816 4.941 3.717
O 2.816 3.306 1.054
O 2.819 3.472 8.370
O 2.816 1.694 5.777

=====

Stability comparison, relative energies in meV per atom: entry i 0; entry ii 42